First-principles (GGA-PBE) data for a relaxed Ca3Mn crystal, as listed in the Materials Project database.

abc: 5.6543 5.6543 5.6543
angles: 60.00 60.00 60.00
Fractional positions:
Ca 0.5000 0.5000 0.5000
Mn 0.0000 0.0000 0.0000
Ca 0.7500 0.7500 0.7500
Ca 0.2500 0.2500 0.2500

## Properties
**Space-group type**: Fm-3m (225)
**Energy relative to the elements**: 0.368 eV/atom